! PBE Li3SbS3, optimized geometry; values from VASP
! **E above lowest polymorph**: 0.087 eV/atom
! **Electronic total energy**: -4.050 eV/atom
! **Energy with MP2020 corrections**: -4.27 eV/atom
! **Symmetry**: P2_13 (198)
! **Formation energy**: -7.6 eV per formula unit
&SYSTEM
  ibrav = 0, nat = 28, ntyp = 3
/
ATOMIC_SPECIES
S 32.06 S.upf
Li 6.94 Li.upf
Sb 121.76 Sb.upf
ATOMIC_POSITIONS angstrom
S -6.1372 0.6170 3.1123
S -8.8781 -1.9502 0.4941
S -7.3653 -0.7380 7.4429
S -5.6670 -3.0559 2.5059
S -5.8209 2.6654 6.4716
S -0.7120 -3.5523 5.1040
S -4.0114 -1.4126 5.4448
S -9.5706 -1.0445 4.1835
S -3.7655 3.7674 3.2870
S -7.7664 -4.2330 5.6528
S -4.0896 -5.2905 6.1769
S -5.4940 -2.6433 -1.4159
Li -9.2208 -2.9055 2.6852
Li -8.6029 0.6115 2.5275
Li -3.1752 -3.6149 4.5091
Li -0.2204 -0.0537 0.1542
Li -3.2904 -0.8013 2.3016
Li -5.8664 -3.9522 7.1163
Li -4.4002 1.6992 4.6079
Li -6.3913 -1.4854 0.6527
Li -9.1259 -2.2223 6.3835
Li -4.8737 -0.2880 7.5456
Li -7.7851 1.2878 6.1976
Li -6.3257 -5.1458 3.7786
Sb -7.1352 3.8155 3.5750
Sb -2.4027 -2.9760 7.9762
Sb -6.2257 -1.5161 4.3548
Sb -7.3291 -4.9469 0.2472
CELL_PARAMETERS angstrom
-7.3110 -2.6777 -2.8633
-0.3290 -5.6186 6.0944
-3.9064 5.4845 4.8455


! PBE Li3SbS3, optimized geometry; values from VASP
! **E above lowest polymorph**: 0.062 eV/atom
! **Electronic total energy**: -4.075 eV/atom
! **Energy with MP2020 corrections**: -4.29 eV/atom
! **Symmetry**: P2_1/c (14)
! **Formation energy**: -7.8 eV per formula unit
&SYSTEM
  ibrav = 0, nat = 28, ntyp = 3
/
ATOMIC_SPECIES
S 32.06 S.upf
Sb 121.76 Sb.upf
Li 6.94 Li.upf
ATOMIC_POSITIONS angstrom
S -12.3334 10.3662 4.8728
S -4.8996 4.7611 1.0167
S -4.9392 7.4627 4.2279
S -0.4508 6.0945 5.0402
S -8.6351 7.9076 6.5916
S -10.0697 6.2413 -0.1518
S -4.3694 3.4372 4.8324
S -3.4649 6.4274 7.7601
S -8.5955 5.2060 3.3804
S -1.2012 2.3024 2.7356
S -13.0838 6.5742 2.5681
S -9.1653 9.2315 2.7759
Sb -11.3781 10.3858 2.5508
Sb -7.9875 5.3879 0.9511
Sb -2.1565 2.2828 5.0575
Sb -5.5471 7.2807 6.6573
Li -9.2355 8.4336 0.4500
Li -6.9848 3.8455 4.8737
Li -11.7059 7.8204 -1.5076
Li -1.3440 7.1050 7.0099
Li -4.2991 4.2351 7.1583
Li -8.8933 7.4354 4.2660
Li -1.8287 4.8483 9.1159
Li -6.5498 8.8231 2.7346
Li -4.0284 7.5215 9.8901
Li -9.5062 5.1472 -2.2817
Li -4.6413 5.2333 3.3424
Li -12.1906 5.5637 0.5985
CELL_PARAMETERS angstrom
-13.0159 6.0843 -4.0242
-1.7007 0.3110 5.9710
1.1821 6.2734 5.6616


! PBE LiSbS2, optimized geometry; values from VASP
! **Electronic total energy**: -4.200 eV/atom
! **Energy with MP2020 corrections**: -4.45 eV/atom
! **Symmetry**: P4/mmm (123)
! **Formation energy**: -3.5 eV per formula unit
&SYSTEM
  ibrav = 0, nat = 4, ntyp = 3
/
ATOMIC_SPECIES
Li 6.94 Li.upf
S 32.06 S.upf
Sb 121.76 Sb.upf
ATOMIC_POSITIONS angstrom
Li 1.9533 1.9533 2.6503
S 0.0000 0.0000 2.6503
S 1.9533 1.9533 0.0000
Sb 0.0000 0.0000 0.0000
CELL_PARAMETERS angstrom
3.9065 0.0000 0.0000
0.0000 3.9065 0.0000
0.0000 0.0000 5.3006


! PBE LiSbS2, optimized geometry; values from VASP
! **Electronic total energy**: -4.243 eV/atom
! **Energy with MP2020 corrections**: -4.49 eV/atom
! **Symmetry**: I4_1/amd (141)
! **Formation energy**: -3.7 eV per formula unit
&SYSTEM
  ibrav = 0, nat = 8, ntyp = 3
/
ATOMIC_SPECIES
S 32.06 S.upf
Li 6.94 Li.upf
Sb 121.76 Sb.upf
ATOMIC_POSITIONS angstrom
S -2.6664 0.0031 0.6662
S -8.0591 0.0095 2.0135
S 0.3018 -2.3751 1.2830
S -5.0309 -2.3688 2.6153
Li -5.3628 0.0063 1.3398
Li -3.2585 -1.3147 -1.6340
Sb -2.3646 -2.3720 1.9491
Sb 0.0000 0.0000 0.0000
CELL_PARAMETERS angstrom
-4.4688 -1.0510 4.9229
-6.2567 1.0635 -2.2433
5.1024 -3.6992 -2.3645


! PBE Li3SbS3, optimized geometry; values from VASP
! **E above lowest polymorph**: 0.000 eV/atom
! **Electronic total energy**: -4.137 eV/atom
! **Energy with MP2020 corrections**: -4.35 eV/atom
! **Symmetry**: Pna2_1 (33)
! **Formation energy**: -8.2 eV per formula unit
&SYSTEM
  ibrav = 0, nat = 28, ntyp = 3
/
ATOMIC_SPECIES
Li 6.94 Li.upf
S 32.06 S.upf
Sb 121.76 Sb.upf
ATOMIC_POSITIONS angstrom
Li -2.4782 -1.7408 -3.7688
Li -4.1402 -9.3382 -4.4999
Li -1.3191 -6.5052 -0.0941
Li 1.4759 -5.9596 -5.6050
Li 0.1386 -4.2875 -1.9844
Li -1.0598 -4.3179 -4.6421
Li 1.8042 -10.3389 -3.0006
Li -5.4774 -7.6661 -0.8794
Li -0.2845 -8.1650 -3.9759
Li -2.6858 -8.5393 -2.1026
Li -1.4435 -3.4007 -7.6506
Li -5.5498 -2.5183 -3.7441
S 1.5092 -4.0576 -4.0684
S -0.4279 -9.7175 -2.0017
S -3.5679 -3.8909 -4.4884
S -1.9480 -9.0275 -5.5378
S -0.6742 -5.6260 -6.7649
S -1.2969 -2.3261 -1.7163
S 2.2142 -7.9426 -4.3802
S -4.3293 -0.0190 -4.0233
S -1.2705 -6.1837 -2.6141
S -3.3216 -7.9825 0.2747
S -4.7540 -7.2960 -3.1857
S -0.8447 -1.7779 -5.7894
Sb -1.5434 -11.7108 -2.8964
Sb -2.7478 -6.9129 -6.5170
Sb -2.3683 -10.0594 1.1665
Sb -3.5728 -5.2616 -2.4540
CELL_PARAMETERS angstrom
-5.1793 0.2095 -4.4726
4.6451 -3.4239 -5.5393
-3.0559 -9.1757 3.1090


! PBE Li7Sb2S2, optimized geometry; values from VASP
! **E above lowest polymorph**: 0.011 eV/atom
! **Electronic total energy**: -3.591 eV/atom
! **Energy with MP2020 corrections**: -3.68 eV/atom
! **Symmetry**: P-1 (2)
! **Formation energy**: -10.6 eV per formula unit
&SYSTEM
  ibrav = 0, nat = 22, ntyp = 3
/
ATOMIC_SPECIES
Sb 121.76 Sb.upf
Li 6.94 Li.upf
S 32.06 S.upf
ATOMIC_POSITIONS angstrom
Sb 5.9229 5.0256 3.2385
Sb 1.6491 3.6396 1.1183
Sb 8.2410 8.4328 7.7970
Sb 3.9672 7.0467 5.6769
Li 2.7088 4.9418 7.0609
Li 4.1170 10.9925 7.7574
Li 5.9129 6.6872 7.8110
Li 2.8848 4.6853 4.2148
Li 5.7731 1.0798 1.1580
Li 3.9772 5.3852 1.1043
Li 6.9425 11.1581 7.8030
Li 5.3367 4.4880 5.9660
Li 7.0053 7.3870 4.7005
Li 4.5534 7.5844 2.9493
Li 5.0580 9.5206 5.0226
Li 2.9476 0.9142 1.1123
Li 7.1813 7.1305 1.8544
Li 4.8321 2.5517 3.8928
S 3.4951 7.7241 0.8353
S 6.4172 9.1296 3.0498
S 6.3950 4.3482 8.0801
S 3.4729 2.9428 5.8655
CELL_PARAMETERS angstrom
5.7349 0.0000 0.0000
2.0924 8.6934 0.0000
2.0628 3.3789 8.9154


What did the second record say?
! PBE Li3SbS3, optimized geometry; values from VASP
! **E above lowest polymorph**: 0.062 eV/atom
! **Electronic total energy**: -4.075 eV/atom
! **Energy with MP2020 corrections**: -4.29 eV/atom
! **Symmetry**: P2_1/c (14)
! **Formation energy**: -7.8 eV per formula unit
&SYSTEM
  ibrav = 0, nat = 28, ntyp = 3
/
ATOMIC_SPECIES
S 32.06 S.upf
Sb 121.76 Sb.upf
Li 6.94 Li.upf
ATOMIC_POSITIONS angstrom
S -12.3334 10.3662 4.8728
S -4.8996 4.7611 1.0167
S -4.9392 7.4627 4.2279
S -0.4508 6.0945 5.0402
S -8.6351 7.9076 6.5916
S -10.0697 6.2413 -0.1518
S -4.3694 3.4372 4.8324
S -3.4649 6.4274 7.7601
S -8.5955 5.2060 3.3804
S -1.2012 2.3024 2.7356
S -13.0838 6.5742 2.5681
S -9.1653 9.2315 2.7759
Sb -11.3781 10.3858 2.5508
Sb -7.9875 5.3879 0.9511
Sb -2.1565 2.2828 5.0575
Sb -5.5471 7.2807 6.6573
Li -9.2355 8.4336 0.4500
Li -6.9848 3.8455 4.8737
Li -11.7059 7.8204 -1.5076
Li -1.3440 7.1050 7.0099
Li -4.2991 4.2351 7.1583
Li -8.8933 7.4354 4.2660
Li -1.8287 4.8483 9.1159
Li -6.5498 8.8231 2.7346
Li -4.0284 7.5215 9.8901
Li -9.5062 5.1472 -2.2817
Li -4.6413 5.2333 3.3424
Li -12.1906 5.5637 0.5985
CELL_PARAMETERS angstrom
-13.0159 6.0843 -4.0242
-1.7007 0.3110 5.9710
1.1821 6.2734 5.6616


Among the records above, which one has the lowest electronic total energy?
number 4